(1)
Entry from Materials Project: a relaxed NdCr2Fe10 crystal (PBE).

Cell and atoms, written as CIF:
```
data_NdCr2Fe10
_cell_length_a 4.689
_cell_length_b 8.461
_cell_length_c 8.521
_cell_angle_alpha 90.00
_cell_angle_beta 90.00
_cell_angle_gamma 90.00
_space_group_name_H-M_alt 'I m m m'
_space_group_IT_number 71
_space_group_name_Hall '-I 2 2'
loop_
_atom_site_label
_atom_site_fract_x
_atom_site_fract_y
_atom_site_fract_z
_atom_site_occupancy
Nd1 0.000 0.000 0.000 1
Cr1 0.000 0.000 0.368 1
Fe1 0.000 0.270 0.500 1
Fe2 0.000 0.361 0.000 1
Fe3 0.000 0.500 0.269 1
Fe4 0.250 0.250 0.250 1
```

(2)
Entry from Materials Project: a relaxed Cr8Fe3NiS16 crystal (PBE).

Cell and atoms, written as CIF:
```
data_Cr8Fe3NiS16
_cell_length_a 7.0127
_cell_length_b 7.0127
_cell_length_c 34.2453
_cell_angle_alpha 90.00
_cell_angle_beta 90.00
_cell_angle_gamma 120.00
_space_group_name_H-M_alt 'R 3 m'
_space_group_IT_number 160
_space_group_name_Hall 'R 3 -2"'
loop_
_atom_site_label
_atom_site_fract_x
_atom_site_fract_y
_atom_site_fract_z
_atom_site_occupancy
Cr1 0.0000 0.0000 0.0000 1
Cr2 0.0000 0.0000 0.4980 1
Cr3 0.1677 0.3355 0.5819 1
Cr4 0.1679 0.3358 0.0843 1
Fe1 0.0000 0.0000 0.1873 1
Fe2 0.0000 0.0000 0.3122 1
Fe3 0.0000 0.0000 0.6873 1
Ni1 0.0000 0.0000 0.8119 1
S1 0.0000 0.0000 0.1210 1
S2 0.0000 0.0000 0.3790 1
S3 0.0000 0.0000 0.6199 1
S4 0.0000 0.0000 0.8774 1
S5 0.0142 0.5071 0.1237 1
S6 0.0216 0.5108 0.6230 1
S7 0.1775 0.3550 0.7098 1
S8 0.1780 0.3560 0.2088 1
```

Number 1: formation energy 58 kJ/mol of formula units, total moment 34.85 μB/cell. Number 2: formation energy -1759 kJ/mol of formula units, total moment 24.66 μB/cell.